(1)
First-principles (PBE) data for an optimized crystal structure of CdW6Br14, as listed in the Materials Project.

Cell: 13.709 13.709 13.709 Å, 90.00 90.00 90.00°
Fractional positions:
Br: 0.113 0.113 0.113
Br: 0.434 0.674 0.188
Br: 0.174 0.688 0.066
Br: 0.326 0.188 0.566
Br: 0.188 0.566 0.326
Br: 0.066 0.174 0.688
Br: 0.171 0.934 0.624
Br: 0.829 0.934 0.376
Br: 0.674 0.188 0.434
Br: 0.887 0.113 0.887
Br: 0.688 0.066 0.174
Br: 0.876 0.329 0.566
Br: 0.934 0.174 0.312
Br: 0.829 0.066 0.624
Br: 0.876 0.671 0.434
Br: 0.387 0.613 0.613
Br: 0.188 0.434 0.674
Br: 0.376 0.171 0.066
Br: 0.613 0.387 0.613
Br: 0.376 0.829 0.934
Br: 0.124 0.329 0.434
Br: 0.066 0.624 0.829
Br: 0.066 0.376 0.171
Br: 0.326 0.812 0.434
Br: 0.826 0.688 0.934
Br: 0.887 0.887 0.113
Br: 0.174 0.312 0.934
Br: 0.812 0.566 0.674
Br: 0.671 0.434 0.876
Br: 0.674 0.812 0.566
Br: 0.124 0.671 0.566
Br: 0.812 0.434 0.326
Br: 0.934 0.624 0.171
Br: 0.566 0.674 0.812
Br: 0.434 0.326 0.812
Br: 0.826 0.312 0.066
Br: 0.312 0.934 0.174
Br: 0.934 0.376 0.829
Br: 0.434 0.876 0.671
Br: 0.934 0.826 0.688
Br: 0.566 0.124 0.671
Br: 0.624 0.171 0.934
Br: 0.624 0.829 0.066
Br: 0.387 0.387 0.387
Br: 0.113 0.887 0.887
Br: 0.171 0.066 0.376
Br: 0.434 0.124 0.329
Br: 0.312 0.066 0.826
Br: 0.613 0.613 0.387
Br: 0.566 0.326 0.188
Br: 0.329 0.566 0.876
Br: 0.671 0.566 0.124
Br: 0.066 0.826 0.312
Br: 0.688 0.934 0.826
Br: 0.329 0.434 0.124
Br: 0.566 0.876 0.329
W: 0.618 0.279 0.773
W: 0.221 0.273 0.118
W: 0.227 0.382 0.279
W: 0.221 0.727 0.882
W: 0.273 0.882 0.779
W: 0.618 0.721 0.227
W: 0.727 0.118 0.779
W: 0.721 0.227 0.618
W: 0.279 0.227 0.382
W: 0.382 0.721 0.773
W: 0.773 0.618 0.279
W: 0.382 0.279 0.227
W: 0.882 0.779 0.273
W: 0.118 0.221 0.273
W: 0.279 0.773 0.618
W: 0.882 0.221 0.727
W: 0.773 0.382 0.721
W: 0.779 0.727 0.118
W: 0.727 0.882 0.221
W: 0.118 0.779 0.727
W: 0.779 0.273 0.882
W: 0.721 0.773 0.382
W: 0.227 0.618 0.721
W: 0.273 0.118 0.221
Cd: 0.250 0.750 0.250
Cd: 0.750 0.750 0.750
Cd: 0.750 0.250 0.250
Cd: 0.250 0.250 0.750

The calculated formation energy is -0.906 eV/atom. The electronic total energy is -452.5 eV for the cell shown. As for the total magnetization: 0.001 μB per formula unit. As for the corrected total energy (MP2020 scheme): -5.7433 eV/atom.


(2)
First-principles (PBE) data for an optimized crystal structure of Cs2KCeBr6, as listed in the Materials Project.

Cell: 8.589 8.589 8.589 Å, 60.00 60.00 60.00°
Fractional positions:
Cs: 0.250 0.250 0.250
Cs: 0.750 0.750 0.750
Br: 0.239 0.761 0.239
Br: 0.761 0.239 0.761
Br: 0.761 0.239 0.239
Br: 0.239 0.239 0.761
Br: 0.239 0.761 0.761
Br: 0.761 0.761 0.239
K: 0.500 0.500 0.500
Ce: 0.000 0.000 0.000

The calculated formation energy is -2.165 eV/atom. The electronic total energy is -37.1 eV for the cell shown. As for the corrected total energy (MP2020 scheme): -4.0308 eV/atom.


(3)
First-principles (PBE) data for an optimized crystal structure of Cs2LiCeBr6, as listed in the Materials Project.

Cell: 8.054 8.054 8.054 Å, 60.00 60.00 60.00°
Fractional positions:
Ce: 0.000 0.000 0.000
Cs: 0.750 0.750 0.750
Cs: 0.250 0.250 0.250
Br: 0.745 0.255 0.255
Br: 0.255 0.745 0.745
Br: 0.255 0.745 0.255
Br: 0.255 0.255 0.745
Br: 0.745 0.745 0.255
Br: 0.745 0.255 0.745
Li: 0.500 0.500 0.500

The calculated formation energy is -2.136 eV/atom. The electronic total energy is -37.6 eV for the cell shown. As for the total magnetization: 1.000 μB per formula unit. As for the corrected total energy (MP2020 scheme): -4.0810 eV/atom.


(4)
First-principles (PBE) data for an optimized crystal structure of Rb2CeCuBr6, as listed in the Materials Project.

Cell: 7.903 7.903 7.903 Å, 60.00 60.00 60.00°
Fractional positions:
Ce: 0.500 0.500 0.500
Br: 0.240 0.760 0.240
Br: 0.760 0.240 0.760
Br: 0.760 0.760 0.240
Br: 0.240 0.240 0.760
Br: 0.760 0.240 0.240
Br: 0.240 0.760 0.760
Cu: 0.000 0.000 0.000
Rb: 0.250 0.250 0.250
Rb: 0.750 0.750 0.750

The calculated formation energy is -1.797 eV/atom. The electronic total energy is -36.6 eV for the cell shown. As for the total magnetization: 0.941 μB per formula unit. As for the corrected total energy (MP2020 scheme): -3.9784 eV/atom.


(5)
First-principles (PBE) data for an optimized crystal structure of Ce4Ga5Br2, as listed in the Materials Project.

Cell: 11.479 11.479 4.234 Å, 90.00 90.00 93.80°
Fractional positions:
Ga: 0.536 0.899 0.000
Ga: 0.421 0.421 0.500
Ga: 0.101 0.464 0.000
Ga: 0.579 0.579 0.500
Ga: 0.899 0.536 0.000
Ga: 0.513 0.782 0.500
Ga: 0.487 0.218 0.500
Ga: 0.218 0.487 0.500
Ga: 0.782 0.513 0.500
Ga: 0.464 0.101 0.000
Br: 0.823 0.177 0.000
Br: 0.125 0.125 0.500
Br: 0.177 0.823 0.000
Br: 0.875 0.875 0.500
Ce: 0.270 0.270 0.000
Ce: 0.730 0.730 0.000
Ce: 0.325 0.959 0.500
Ce: 0.041 0.675 0.500
Ce: 0.369 0.631 0.000
Ce: 0.631 0.369 0.000
Ce: 0.675 0.041 0.500
Ce: 0.959 0.325 0.500

The calculated formation energy is -0.980 eV/atom. The electronic total energy is -103.7 eV for the cell shown. As for the corrected total energy (MP2020 scheme): -4.8111 eV/atom.


(6)
First-principles (PBE) data for an optimized crystal structure of Ce10Ga5Br4, as listed in the Materials Project.

Cell: 16.844 16.844 16.844 Å, 152.73 152.73 38.95°
Fractional positions:
Ga: 0.261 0.761 0.749
Ga: 0.250 0.250 0.000
Ga: 0.750 0.750 0.000
Ga: 0.013 0.513 0.251
Ga: 0.487 0.739 0.500
Ga: 0.987 0.487 0.749
Ga: 0.239 0.987 0.500
Ga: 0.761 0.013 0.500
Ga: 0.513 0.261 0.500
Ga: 0.739 0.239 0.251
Ce: 0.376 0.534 0.500
Ce: 0.405 0.905 0.163
Ce: 0.845 0.845 0.000
Ce: 0.155 0.155 0.000
Ce: 0.905 0.742 0.500
Ce: 0.124 0.624 0.158
Ce: 0.742 0.242 0.837
Ce: 0.624 0.466 0.500
Ce: 0.034 0.876 0.500
Ce: 0.655 0.655 0.000
Ce: 0.345 0.345 0.000
Ce: 0.534 0.034 0.158
Ce: 0.258 0.758 0.163
Ce: 0.595 0.095 0.837
Ce: 0.466 0.966 0.842
Ce: 0.876 0.376 0.842
Ce: 0.758 0.595 0.500
Ce: 0.095 0.258 0.500
Ce: 0.242 0.405 0.500
Ce: 0.966 0.124 0.500
Br: 0.144 0.644 0.787
Br: 0.644 0.856 0.500
Br: 0.856 0.356 0.213
Br: 0.942 0.942 0.000
Br: 0.058 0.058 0.000
Br: 0.356 0.144 0.500
Br: 0.442 0.442 0.000
Br: 0.558 0.558 0.000

The calculated formation energy is -0.876 eV/atom. The electronic total energy is -191.1 eV for the cell shown. As for the total magnetization: 10.575 μB per formula unit. As for the corrected total energy (MP2020 scheme): -5.1403 eV/atom.


(7)
First-principles (PBE) data for an optimized crystal structure of LaCeSbS5Br, as listed in the Materials Project.

Cell: 5.585 9.026 17.773 Å, 90.00 90.00 90.00°
Fractional positions:
La: 0.009 0.094 0.801
La: 0.491 0.906 0.301
La: 0.991 0.594 0.699
La: 0.509 0.406 0.199
Ce: 0.490 0.471 0.471
Ce: 0.010 0.529 0.971
Ce: 0.510 0.971 0.029
Ce: 0.990 0.029 0.529
Br: 0.510 0.347 0.027
Br: 0.010 0.153 0.973
Br: 0.490 0.847 0.473
Br: 0.990 0.653 0.527
S: 0.015 0.769 0.846
S: 0.818 0.404 0.829
S: 0.994 0.968 0.359
S: 0.506 0.032 0.859
S: 0.992 0.323 0.459
S: 0.692 0.093 0.173
S: 0.985 0.269 0.654
S: 0.808 0.907 0.673
S: 0.508 0.677 0.959
S: 0.485 0.231 0.346
S: 0.308 0.593 0.327
S: 0.318 0.096 0.171
S: 0.494 0.532 0.641
S: 0.008 0.823 0.041
S: 0.682 0.596 0.329
S: 0.492 0.177 0.541
S: 0.515 0.731 0.154
S: 0.006 0.468 0.141
S: 0.192 0.407 0.827
S: 0.182 0.904 0.671
Sb: 0.539 0.265 0.670
Sb: 0.461 0.765 0.830
Sb: 0.961 0.735 0.170
Sb: 0.039 0.235 0.330

The calculated formation energy is -1.674 eV/atom. The electronic total energy is -197.3 eV for the cell shown. As for the total magnetization: 1.000 μB per formula unit. As for the corrected total energy (MP2020 scheme): -5.8201 eV/atom.


(8)
First-principles (PBE) data for an optimized crystal structure of LaCeSb2S4Br4, as listed in the Materials Project.

Cell: 8.761 9.355 17.578 Å, 90.00 104.26 90.00°
Fractional positions:
La: 0.878 0.868 0.756
La: 0.122 0.368 0.744
La: 0.878 0.632 0.256
La: 0.122 0.132 0.244
Sb: 0.274 0.342 0.055
Sb: 0.730 0.457 0.453
Sb: 0.726 0.658 0.945
Sb: 0.730 0.043 0.953
Sb: 0.270 0.543 0.547
Sb: 0.726 0.842 0.445
Sb: 0.270 0.957 0.047
Sb: 0.274 0.158 0.555
S: 0.340 0.336 0.198
S: 0.524 0.651 0.446
S: 0.524 0.849 0.946
S: 0.662 0.437 0.310
S: 0.662 0.063 0.810
S: 0.476 0.349 0.554
S: 0.660 0.664 0.802
S: 0.340 0.164 0.698
S: 0.073 0.350 0.553
S: 0.338 0.937 0.190
S: 0.476 0.151 0.054
S: 0.338 0.563 0.690
S: 0.927 0.850 0.947
S: 0.660 0.836 0.302
S: 0.927 0.650 0.447
S: 0.073 0.150 0.053
Br: 0.162 0.442 0.340
Br: 0.080 0.871 0.634
Br: 0.838 0.942 0.160
Br: 0.080 0.629 0.134
Br: 0.920 0.129 0.366
Br: 0.445 0.373 0.871
Br: 0.838 0.558 0.660
Br: 0.842 0.174 0.666
Br: 0.162 0.058 0.840
Br: 0.445 0.127 0.371
Br: 0.158 0.674 0.834
Br: 0.555 0.627 0.129
Br: 0.555 0.873 0.629
Br: 0.920 0.371 0.866
Br: 0.158 0.826 0.334
Br: 0.842 0.326 0.166
Ce: 0.612 0.137 0.237
Ce: 0.388 0.863 0.763
Ce: 0.612 0.363 0.737
Ce: 0.388 0.637 0.263

The calculated formation energy is -1.605 eV/atom. The electronic total energy is -229.3 eV for the cell shown. As for the total magnetization: 1.000 μB per formula unit. As for the corrected total energy (MP2020 scheme): -5.1230 eV/atom.


(9)
First-principles (PBE) data for an optimized crystal structure of Ce3Br6N, as listed in the Materials Project.

Cell: 11.160 11.828 17.112 Å, 90.00 90.00 90.00°
Fractional positions:
N: 0.549 0.090 0.941
N: 0.951 0.590 0.941
N: 0.451 0.910 0.059
N: 0.049 0.410 0.059
N: 0.049 0.090 0.559
N: 0.451 0.590 0.559
N: 0.951 0.910 0.441
N: 0.549 0.410 0.441
Br: 0.244 0.215 0.954
Br: 0.868 0.438 0.662
Br: 0.132 0.562 0.338
Br: 0.256 0.785 0.454
Br: 0.359 0.031 0.554
Br: 0.756 0.715 0.546
Br: 0.968 0.186 0.375
Br: 0.468 0.186 0.125
Br: 0.756 0.785 0.046
Br: 0.396 0.086 0.775
Br: 0.665 0.214 0.310
Br: 0.835 0.714 0.310
Br: 0.132 0.938 0.838
Br: 0.141 0.531 0.554
Br: 0.335 0.786 0.690
Br: 0.632 0.562 0.162
Br: 0.604 0.586 0.725
Br: 0.032 0.686 0.125
Br: 0.744 0.285 0.046
Br: 0.641 0.969 0.446
Br: 0.165 0.286 0.690
Br: 0.256 0.715 0.954
Br: 0.632 0.938 0.662
Br: 0.896 0.086 0.725
Br: 0.532 0.686 0.375
Br: 0.859 0.031 0.946
Br: 0.859 0.469 0.446
Br: 0.532 0.814 0.875
Br: 0.396 0.414 0.275
Br: 0.868 0.062 0.162
Br: 0.896 0.414 0.225
Br: 0.468 0.314 0.625
Br: 0.368 0.438 0.838
Br: 0.641 0.531 0.946
Br: 0.335 0.714 0.190
Br: 0.032 0.814 0.625
Br: 0.141 0.969 0.054
Br: 0.968 0.314 0.875
Br: 0.165 0.214 0.190
Br: 0.104 0.914 0.275
Br: 0.604 0.914 0.225
Br: 0.104 0.586 0.775
Br: 0.835 0.786 0.810
Br: 0.368 0.062 0.338
Br: 0.665 0.286 0.810
Br: 0.744 0.215 0.546
Br: 0.359 0.469 0.054
Br: 0.244 0.285 0.454
Ce: 0.653 0.462 0.328
Ce: 0.510 0.221 0.450
Ce: 0.653 0.038 0.828
Ce: 0.153 0.038 0.672
Ce: 0.365 0.980 0.941
Ce: 0.865 0.980 0.559
Ce: 0.365 0.520 0.441
Ce: 0.847 0.538 0.828
Ce: 0.635 0.020 0.059
Ce: 0.135 0.480 0.941
Ce: 0.010 0.221 0.050
Ce: 0.135 0.020 0.441
Ce: 0.990 0.779 0.950
Ce: 0.510 0.279 0.950
Ce: 0.153 0.462 0.172
Ce: 0.347 0.962 0.172
Ce: 0.847 0.962 0.328
Ce: 0.865 0.520 0.059
Ce: 0.347 0.538 0.672
Ce: 0.990 0.721 0.450
Ce: 0.490 0.721 0.050
Ce: 0.635 0.480 0.559
Ce: 0.010 0.279 0.550
Ce: 0.490 0.779 0.550

The calculated formation energy is -1.831 eV/atom. The electronic total energy is -431.2 eV for the cell shown. As for the total magnetization: 1.853 μB per formula unit. As for the corrected total energy (MP2020 scheme): -5.4263 eV/atom.


(10)
First-principles (PBE) data for an optimized crystal structure of Rb2NaCeBr6, as listed in the Materials Project.

Cell: 8.207 8.207 8.207 Å, 60.00 60.00 60.00°
Fractional positions:
Br: 0.249 0.751 0.249
Br: 0.751 0.751 0.249
Br: 0.249 0.751 0.751
Br: 0.751 0.249 0.751
Br: 0.751 0.249 0.249
Br: 0.249 0.249 0.751
Na: 0.500 0.500 0.500
Rb: 0.750 0.750 0.750
Rb: 0.250 0.250 0.250
Ce: 0.000 0.000 0.000

The calculated formation energy is -2.095 eV/atom. The electronic total energy is -36.8 eV for the cell shown. As for the total magnetization: 0.998 μB per formula unit. As for the corrected total energy (MP2020 scheme): -3.9993 eV/atom.